1.
Pr2CoSi3: relaxed, PBE-GGA.

The structure in POSCAR format:
```
Pr2CoSi3
1.0
2.0204 -3.4994 0.0000
2.0204 3.4994 0.0000
0.0000 0.0000 8.6552
Pr Co Si
2 1 3
Direct
0.3333 0.6667 0.7449 Pr
0.3333 0.6667 0.2551 Pr
0.6667 0.3333 0.5000 Co
0.6667 0.3333 0.0000 Si
0.0000 0.0000 0.5000 Si
0.0000 0.0000 0.0000 Si
```

Calculated values
energy of formation	-0.5473	eV per atom
E_tot	-6.07	eV per atom
size of the total moment	0.0	Bohr magnetons per cell


2.
PrCo2Si2: relaxed, PBE-GGA.

The structure in POSCAR format:
```
PrCo2Si2
1.0
-1.9771 1.9771 5.0376
1.9771 -1.9771 5.0376
1.9771 1.9771 -5.0376
Pr Co Si
1 2 2
Direct
0.0000 0.0000 0.0000 Pr
0.7500 0.2500 0.5000 Co
0.2500 0.7500 0.5000 Co
0.6344 0.6344 0.0000 Si
0.3656 0.3656 0.0000 Si
```

Calculated values
energy of formation	-0.7120	eV per atom
E_tot	-6.71	eV per atom